(1)
Here is a relaxed structure of Tb2Al9Ir3 from the Materials Project database. Energies are from r2SCAN.

a = 12.975 Å, b = 7.571 Å, c = 9.447 Å
α = 90.00°, β = 90.00°, γ = 90.00°
Space group Cmcm (No. 63)
One atom of each set of equivalent atoms:
Tb1 0.162 0.167 0.250
Al1 0.000 0.130 0.750
Al2 0.000 0.334 0.050
Al3 0.104 0.443 0.750
Al4 0.167 0.169 0.573
Ir1 0.000 0.000 0.000
Ir2 0.172 0.500 0.000

---

(2)
Here is a relaxed structure of Tm2Al9Ir3 from the Materials Project database. Energies are from r2SCAN.

a = 12.922 Å, b = 7.536 Å, c = 9.374 Å
α = 90.00°, β = 90.00°, γ = 90.00°
Space group Cmcm (No. 63)
One atom of each set of equivalent atoms:
Tm1 0.161 0.166 0.250
Al1 0.000 0.130 0.750
Al2 0.000 0.333 0.052
Al3 0.105 0.444 0.750
Al4 0.167 0.168 0.575
Ir1 0.000 0.000 0.000
Ir2 0.172 0.500 0.000

---

no.,electronic total energy (eV per formula unit)
1,-293.65
2,-301.26